Density functional theory data (PBE+U) for a relaxed structure of Ni4P3O12.

extended XYZ file:
```
38
Lattice="-3.3040 3.3040 9.1848 3.3040 -3.3040 9.1848 3.3040 3.3040 -9.1848" Properties=species:S:1:pos:R:3 pbc="T T T"
Ni 1.6520 1.6732 -2.2962
Ni 0.0000 0.0000 4.1699
Ni 4.9348 1.6520 2.2962
Ni 0.0000 3.3040 0.4225
Ni 1.6520 1.6308 6.8886
Ni 0.0000 0.0000 14.1997
Ni -1.6308 1.6520 11.4810
Ni 0.0000 3.3040 8.7622
P 0.0000 0.0000 0.0000
P 1.6520 -0.9916 6.8886
P 2.3124 1.6520 2.2962
P 1.6520 4.2956 -2.2962
P 0.0000 3.3040 4.5924
P 0.9916 1.6520 11.4810
O 1.2858 0.3761 -0.7883
O 2.9026 -1.8206 6.5042
O 5.1246 -0.4015 2.6806
O 3.7055 1.4834 -1.9118
O 1.4834 0.4015 2.6806
O 2.9279 -2.0183 9.9730
O 3.3142 1.3551 1.1244
O 1.9490 3.2939 -3.4680
O 1.3551 0.0101 5.7168
O 1.3551 3.2939 -1.1244
O 1.9490 0.0101 8.0604
O 3.3142 1.9490 3.4680
O -0.3761 2.0183 3.8041
O 1.4834 2.9026 1.9118
O 3.7055 1.8206 6.5042
O 1.8206 0.4015 11.0966
O -0.4015 1.8206 7.2730
O 1.2858 2.9279 5.3806
O 0.3761 5.3223 0.7883
O -1.2858 3.6801 5.3806
O -0.0101 1.9490 10.3092
O -0.0101 1.3551 12.6528
O 2.0183 2.9279 8.3965
O 0.3761 4.5898 3.8041
```

Properties
Space group: I-42d, No. 122
Calculated density in g/cm³: 4.3
DFT formation energy in eV/atom: -2.05